No. 1
Density functional theory data (PBE) for a relaxed Na3CaNb5Si3P6O36 crystal.

```
108
Lattice="8.8943 0.0000 0.0000 -4.4472 7.7027 0.0000 0.0000 0.0000 23.0803" Properties=species:S:1:pos:R:3 pbc="T T T"
Na 0.0000 0.0000 0.0000
Na 0.0000 0.0000 11.5401
Na 0.0000 5.1351 3.7138
Na 0.0000 5.1351 15.2539
Na 4.4472 2.5676 7.6819
Na 4.4472 2.5676 19.2220
Ca 0.0000 5.1351 0.4666
Ca 0.0000 5.1351 12.0067
Nb 0.0000 0.0000 3.3817
Nb 0.0000 0.0000 8.0994
Nb 0.0000 0.0000 14.9218
Nb 0.0000 0.0000 19.6395
Nb 0.0000 5.1351 7.1807
Nb 0.0000 5.1351 18.7208
Nb 4.4472 2.5676 4.4035
Nb 4.4472 2.5676 11.0620
Nb 4.4472 2.5676 15.9436
Nb 4.4472 2.5676 22.6022
Si -1.2643 2.2128 5.7582
Si -3.1630 5.5014 17.2984
Si 1.2643 2.2128 17.2984
Si -1.8987 7.6913 5.7582
Si 3.1630 5.5014 5.7582
Si 1.8987 7.6913 17.2984
P -1.2998 2.8631 21.1440
P -2.6175 5.1455 9.6039
P 1.2998 2.8631 9.6039
P -1.3177 7.3968 21.1440
P 3.1434 0.3989 13.5119
P 1.9171 2.5228 1.9717
P 2.6175 5.1455 21.1440
P 1.3177 7.3968 9.6039
P 5.7509 0.3989 1.9717
P 3.2209 4.7810 13.5119
P 6.9772 2.5228 13.5119
P 5.6734 4.7810 1.9717
O -0.7509 1.4340 20.8680
O -3.5807 6.3354 9.3278
O -0.5865 1.5101 4.4397
O -3.4326 6.4397 15.9799
O -1.0565 3.7491 13.4955
O -1.7286 4.9132 1.9554
O -1.0331 3.7779 19.9030
O -1.6919 4.9190 8.3629
O -0.6854 3.3549 22.4171
O -1.8845 5.4317 10.8769
O 0.5865 1.5101 15.9799
O -2.8461 7.4556 4.4397
O -0.6020 3.6856 6.0075
O -1.5563 5.3385 17.5476
O 0.7509 1.4340 9.3278
O -2.8298 7.6360 20.8680
O 1.6151 0.2306 7.0577
O 1.0073 1.2834 18.5978
O 1.5859 0.3398 13.6009
O 1.0872 1.2036 2.0608
O 0.6854 3.3549 10.8769
O -1.1990 6.6189 22.4171
O 0.6020 3.6856 17.5476
O -0.9543 6.3812 6.0075
O 1.0331 3.7779 8.3629
O -0.6588 6.7085 19.9030
O 1.0565 3.7491 1.9554
O -0.6721 6.7431 13.4955
O 3.4643 1.2699 12.2201
O 2.8319 2.3653 0.6800
O 3.5019 1.2926 5.5638
O 2.8704 2.3865 17.1039
O 3.6890 1.1752 14.7332
O 2.8623 2.6072 3.1931
O 3.7964 1.1272 21.2910
O 2.8744 2.7242 9.7509
O 1.6919 4.9190 19.9030
O 0.6588 6.7085 8.3629
O 1.7285 4.9132 13.4955
O 0.6721 6.7431 1.9554
O 1.5563 5.3385 6.0075
O 0.9543 6.3812 17.5476
O 1.8845 5.4317 22.4171
O 1.1990 6.6189 10.8769
O 5.0979 1.1272 9.7509
O 3.5251 3.8513 21.2910
O 5.2053 1.1752 3.1931
O 3.6204 3.9203 14.7332
O 5.3924 1.2926 17.1039
O 3.8156 4.0237 5.5638
O 5.4300 1.2699 0.6800
O 3.8147 4.0676 12.2201
O 3.4326 6.4397 4.4397
O 2.8461 7.4556 15.9799
O 3.5807 6.3354 20.8680
O 2.8298 7.6360 9.3278
O 6.0240 2.3865 5.5638
O 5.0787 4.0237 17.1039
O 7.2792 0.2306 18.5978
O 3.8393 6.1886 7.0577
O 6.0624 2.3653 12.2201
O 5.0796 4.0676 0.6800
O 7.3084 0.3398 2.0608
O 3.9484 6.1594 13.6009
O 6.0320 2.6072 14.7332
O 5.2739 3.9203 3.1931
O 6.0200 2.7242 21.2910
O 5.3692 3.8513 9.7509
O 7.8071 1.2036 13.6009
O 4.9459 6.1594 2.0608
O 7.8870 1.2834 7.0577
O 5.0550 6.1886 18.5978
```

Summary:
Energy of formation, eV per atom: -2.9531
Mass density, g/cm³: 2.98
Space group: No. 158

No. 2
Density functional theory data (PBE) for a relaxed PuAl3 crystal.

```
24
Lattice="5.9887 0.0000 0.0000 -2.9944 5.1864 0.0000 0.0000 0.0000 14.4406" Properties=species:S:1:pos:R:3 pbc="T T T"
Pu 0.0000 0.0000 3.6101
Pu 0.0000 0.0000 10.8304
Pu 0.0000 3.4576 1.2317
Pu 0.0000 3.4576 5.9886
Pu 2.9944 1.7288 8.4520
Pu 2.9944 1.7288 13.2089
Al -1.4294 2.6323 10.8304
Al 0.0000 1.7490 8.4124
Al 0.0000 1.7490 13.2485
Al -1.4797 4.3119 8.4124
Al -1.4797 4.3119 13.2485
Al 1.5147 0.8745 1.1921
Al 1.5147 0.8745 6.0282
Al 1.4294 2.6323 10.8304
Al 0.0000 5.1081 10.8304
Al 2.9944 0.0783 3.6101
Al 1.5650 2.5540 3.6101
Al 1.4797 4.3119 8.4124
Al 1.4797 4.3119 13.2485
Al 4.4741 0.8745 1.1921
Al 4.4741 0.8745 6.0282
Al 2.9944 3.4374 1.1921
Al 2.9944 3.4374 6.0282
Al 4.4237 2.5540 3.6101
```

Summary:
Energy of formation, eV per atom: -0.2768
Mass density, g/cm³: 7.22
Space group: No. 194

No. 3
Density functional theory data (PBE) for a relaxed HoFe10Re2 crystal.

```
13
Lattice="-2.3453 4.2342 4.3020 2.3453 -4.2342 4.3020 2.3453 4.2342 -4.3020" Properties=species:S:1:pos:R:3 pbc="T T T"
Ho 0.0000 0.0000 0.0000
Fe 1.1727 2.1171 -2.1510
Fe 1.1727 -2.1171 2.1510
Fe 2.3453 1.8649 0.0000
Fe 2.3453 0.0000 1.9628
Fe 0.0000 3.0384 0.0000
Fe -1.1727 2.1171 2.1510
Fe 1.1727 2.1171 2.1510
Fe 0.0000 5.4300 0.0000
Fe 0.0000 4.2342 2.3392
Fe 0.0000 2.3693 4.3020
Re 0.0000 0.0000 3.0757
Re 0.0000 0.0000 5.5282
```

Summary:
Energy of formation, eV per atom: -0.0409
Mass density, g/cm³: 10.65
Space group: No. 71